First-principles (GGA+U) data for Li4Si2NiO7 after structural relaxation, as listed in the Materials Project database.

Lattice parameters (Å, degrees): 4.511 7.897 9.203 68.05 76.88 74.18
Fractional coordinates of all 28 atoms:
Li 0.000 0.000 0.000
Li 0.059 0.235 0.642
Li 0.216 0.653 0.927
Li 0.366 0.083 0.205
Li 0.499 0.502 0.501
Li 0.561 0.734 0.142
Li 0.716 0.155 0.427
Li 0.865 0.583 0.706
Si 0.160 0.434 0.289
Si 0.455 0.295 0.851
Si 0.660 0.934 0.789
Si 0.955 0.796 0.350
Ni 0.293 0.882 0.561
Ni 0.793 0.379 0.063
O 0.007 0.289 0.254
O 0.127 0.439 0.882
O 0.130 0.703 0.510
O 0.177 0.897 0.194
O 0.328 0.331 0.447
O 0.366 0.113 0.821
O 0.396 0.530 0.133
O 0.505 0.790 0.753
O 0.628 0.941 0.380
O 0.630 0.202 0.010
O 0.675 0.397 0.695
O 0.829 0.829 0.946
O 0.866 0.614 0.320
O 0.896 0.030 0.633

Computed properties:
Magnetic moment, Bohr magnetons per cell: 0.0
E above lowest polymorph, eV per atom: 0.010
Piezoelectric modulus e_max, C/m2: 0.50
Space group: No. 1
E_form, meV/atom: -2613.4